Model a:
## MgCr2O4 (PBE+U)

Data for an optimized crystal structure of MgCr2O4.

```
MgCr2O4
1.0
-2.878 -0.403 4.133
0.295 -0.665 -5.000
3.310 -9.147 1.412
O Mg Cr
8 2 4
direct
0.770 0.230 0.386
0.770 0.230 0.114
0.230 0.770 0.614
0.230 0.770 0.886
0.037 0.963 0.250
0.500 0.500 0.000
0.963 0.037 0.750
0.500 0.500 0.500
0.391 0.609 0.250
0.609 0.391 0.750
0.133 0.867 0.072
0.867 0.133 0.572
0.133 0.867 0.428
0.867 0.133 0.928
```

As for the total magnetization: 6.00 μB per formula unit. For the density, the calculation gives 4.591 g/cm3.

***

Model b:
## MgCr2O4 (PBE+U)

Data for an optimized crystal structure of MgCr2O4.

```
MgCr2O4
1.0
2.207 1.911 -0.668
-0.265 -1.064 2.787
6.217 -8.017 -2.406
O Cr Mg
4 2 1
direct
0.665 0.330 0.094
0.667 0.334 0.409
0.334 0.660 0.625
0.337 0.665 0.879
0.999 0.998 0.491
0.999 0.999 0.012
0.006 0.992 0.752
```

As for the total magnetization: 6.00 μB per formula unit. For the density, the calculation gives 3.942 g/cm3.

***

Which of them is most stable? Easy: model a.

***

Model a:
## V6H2Pb4Se3O26 (PBE+U)

Data for an optimized crystal structure of V6H2Pb4Se3O26.

```
V6H2Pb4Se3O26
1.0
-15.074 15.593 -1.548
-0.027 -0.741 -7.208
-5.340 -5.171 -0.093
O Pb V Se H
52 8 12 6 4
direct
0.864 0.653 0.316
0.908 0.391 0.097
0.505 0.508 0.228
0.567 0.140 0.247
0.358 0.313 0.146
0.152 0.288 0.264
0.046 0.600 0.140
0.818 0.041 0.885
0.956 0.365 0.418
0.290 0.107 0.632
0.709 0.148 0.190
0.748 0.707 0.088
0.209 0.852 0.810
0.858 0.687 0.854
0.104 0.179 0.887
0.882 0.400 0.660
0.792 0.401 0.292
0.456 0.635 0.582
0.730 0.164 0.553
0.614 0.406 0.550
0.539 0.807 0.428
0.292 0.599 0.708
0.248 0.293 0.912
0.318 0.959 0.115
0.422 0.128 0.433
0.230 0.836 0.447
0.443 0.059 0.791
0.039 0.193 0.572
0.382 0.600 0.340
0.790 0.893 0.368
0.196 0.400 0.602
0.604 0.821 0.113
0.087 0.921 0.260
0.005 0.492 0.772
0.408 0.609 0.903
0.685 0.364 0.852
0.943 0.941 0.209
0.652 0.712 0.736
0.364 0.347 0.684
0.460 0.859 0.155
0.546 0.400 0.860
0.922 0.872 0.567
0.772 0.560 0.647
0.857 0.148 0.363
0.587 0.079 0.740
0.067 0.860 0.753
0.960 0.141 0.845
0.272 0.440 0.353
0.114 0.594 0.450
0.696 0.600 0.398
0.357 0.852 0.637
0.185 0.636 0.148
0.026 0.214 0.196
0.965 0.790 0.890
0.465 0.210 0.110
0.694 0.024 0.876
0.625 0.436 0.172
0.125 0.564 0.828
0.194 0.976 0.124
0.526 0.786 0.804
0.183 0.480 0.336
0.265 0.850 0.645
0.468 0.685 0.318
0.968 0.315 0.682
0.887 0.898 0.369
0.387 0.102 0.631
0.384 0.601 0.694
0.683 0.520 0.664
0.268 0.345 0.700
0.884 0.399 0.306
0.765 0.150 0.355
0.768 0.655 0.300
0.552 0.286 0.667
0.601 0.926 0.311
0.052 0.714 0.333
0.828 0.481 0.812
0.101 0.074 0.689
0.328 0.519 0.188
0.332 0.048 0.198
0.832 0.952 0.802
0.829 0.978 0.001
0.329 0.022 0.999
```

As for the total magnetization: 0.00 μB per formula unit. For the density, the calculation gives 5.093 g/cm3.

***

Model b:
## V6H2Pb4Se3O26 (PBE+U)

Data for an optimized crystal structure of V6H2Pb4Se3O26.

```
V6H2Pb4Se3O26
1.0
7.239 0.000 0.000
-0.563 -7.373 0.000
-2.996 0.073 -21.771
O Se H V Pb
52 6 4 12 8
direct
0.884 0.705 0.214
0.223 0.155 0.281
0.835 0.317 0.715
0.581 0.559 0.654
0.954 0.403 0.882
0.477 0.249 0.010
0.705 0.153 0.387
0.134 0.251 0.073
0.048 0.351 0.194
0.916 0.323 0.302
0.374 0.562 0.844
0.828 0.089 0.829
0.928 0.914 0.328
0.187 0.563 0.963
0.471 0.255 0.493
0.590 0.797 0.129
0.777 0.845 0.719
0.922 0.586 0.376
0.523 0.751 0.990
0.952 0.649 0.806
0.482 0.799 0.366
0.295 0.847 0.613
0.786 0.439 0.461
0.529 0.745 0.507
0.810 0.129 0.530
0.072 0.086 0.672
0.410 0.203 0.871
0.071 0.239 0.428
0.078 0.414 0.624
0.625 0.374 0.788
0.780 0.118 0.972
0.929 0.761 0.572
0.660 0.641 0.280
0.866 0.749 0.927
0.540 0.106 0.237
0.190 0.871 0.470
0.192 0.861 0.889
0.808 0.139 0.111
0.375 0.626 0.212
0.340 0.359 0.720
0.419 0.441 0.346
0.084 0.677 0.698
0.626 0.438 0.156
0.460 0.894 0.763
0.116 0.295 0.786
0.172 0.911 0.171
0.813 0.437 0.037
0.214 0.561 0.539
0.518 0.201 0.634
0.046 0.597 0.118
0.220 0.882 0.028
0.165 0.683 0.285
0.671 0.316 0.975
0.303 0.673 0.476
0.697 0.327 0.524
0.002 0.182 0.249
0.329 0.684 0.025
0.998 0.818 0.751
0.637 0.186 0.261
0.581 0.867 0.750
0.419 0.133 0.250
0.363 0.814 0.739
0.380 0.360 0.812
0.878 0.323 0.391
0.041 0.672 0.894
0.620 0.640 0.188
0.423 0.637 0.310
0.959 0.328 0.106
0.122 0.677 0.609
0.079 0.298 0.695
0.130 0.698 0.190
0.921 0.702 0.305
0.577 0.363 0.690
0.870 0.302 0.810
0.536 0.883 0.881
0.838 0.834 0.048
0.464 0.117 0.119
0.359 0.115 0.389
0.197 0.176 0.553
0.641 0.885 0.611
0.803 0.824 0.447
0.162 0.166 0.952
```

As for the total magnetization: 0.00 μB per formula unit. For the density, the calculation gives 5.114 g/cm3.

***

Which of them is most stable? Easy: model b.

***

Model a:
## MgCr3S6O24 (PBE+U)

Data for an optimized crystal structure of MgCr3S6O24.

```
MgCr3S6O24
1.0
-8.253 0.322 -3.564
-6.919 -5.117 2.652
-7.413 3.113 4.246
Mg O S Cr
1 24 6 3
direct
0.344 0.836 0.178
0.911 0.661 0.503
0.382 0.632 0.772
0.658 0.761 0.375
0.663 0.513 0.901
0.767 0.371 0.645
0.933 0.371 0.002
0.249 0.600 0.394
0.378 0.943 0.287
0.692 0.977 0.044
0.035 0.923 0.336
0.983 0.040 0.672
0.291 0.350 0.984
0.013 0.703 0.670
0.335 0.999 0.923
0.532 0.898 0.648
0.045 0.675 0.980
0.273 0.531 0.122
0.657 0.027 0.715
0.118 0.275 0.528
0.669 0.682 0.034
0.602 0.388 0.235
0.395 0.232 0.600
0.966 0.298 0.357
0.515 0.112 0.285
0.247 0.540 0.967
0.039 0.730 0.481
0.731 0.478 0.038
0.558 0.948 0.250
0.962 0.245 0.543
0.480 0.036 0.725
0.651 0.637 0.646
0.355 0.348 0.354
0.844 0.848 0.853
```

As for the total magnetization: 8.00 μB per formula unit. For the density, the calculation gives 2.716 g/cm3.

***

Model b:
## MgCr3S6O24 (PBE+U)

Data for an optimized crystal structure of MgCr3S6O24.

```
MgCr3S6O24
1.0
8.893 0.140 -0.037
5.113 7.582 -0.070
5.013 2.733 6.853
O S Cr Mg
24 6 3 1
direct
0.294 0.501 0.118
0.213 0.669 0.338
0.290 0.343 0.977
0.851 0.757 0.488
0.558 0.078 0.290
0.645 0.382 0.226
0.621 0.745 0.391
0.723 0.477 0.884
0.388 0.611 0.764
0.387 0.199 0.622
0.673 0.958 0.051
0.465 0.858 0.755
0.966 0.050 0.673
0.757 0.383 0.628
0.964 0.290 0.349
0.730 0.654 0.006
0.329 0.012 0.974
0.980 0.335 0.995
0.658 0.999 0.715
0.050 0.665 0.978
0.975 0.995 0.334
0.343 0.989 0.294
0.116 0.277 0.515
0.035 0.730 0.636
0.955 0.250 0.544
0.031 0.776 0.448
0.257 0.531 0.962
0.769 0.462 0.028
0.450 0.019 0.773
0.550 0.943 0.256
0.152 0.161 0.157
0.643 0.637 0.651
0.856 0.843 0.843
0.664 0.123 0.398
```

As for the total magnetization: 8.00 μB per formula unit. For the density, the calculation gives 2.733 g/cm3.

***

Which of them is most stable? Easy: model a.

***

Model a:
## ZnFe2O4 (PBE+U)

Data for an optimized crystal structure of ZnFe2O4.

```
ZnFe2O4
1.0
-3.466 4.901 0.000
0.000 0.000 6.014
5.236 0.027 -3.007
Zn Fe O
2 4 8
direct
0.625 0.375 0.750
0.125 0.375 0.750
0.994 0.994 0.989
0.625 0.875 0.250
0.625 0.375 0.250
0.256 0.756 0.511
0.388 0.633 0.777
0.862 0.117 0.723
0.858 0.123 0.246
0.388 0.123 0.246
0.392 0.627 0.254
0.862 0.627 0.254
0.388 0.144 0.777
0.862 0.606 0.723
```

As for the total magnetization: 0.00 μB per formula unit. For the density, the calculation gives 5.169 g/cm3.

***

Model b:
## ZnFe2O4 (PBE+U)

Data for an optimized crystal structure of ZnFe2O4.

```
ZnFe2O4
1.0
-0.692 -1.939 -2.113
6.830 -6.080 3.343
-6.776 -4.249 6.118
Zn O Fe
4 16 8
direct
0.199 0.362 0.250
0.801 0.638 0.750
0.199 0.138 0.750
0.801 0.862 0.250
0.294 0.785 0.750
0.706 0.285 0.750
0.294 0.715 0.250
0.239 0.520 0.887
0.235 0.250 0.500
0.761 0.020 0.887
0.765 0.750 0.000
0.235 0.250 0.000
0.761 0.020 0.613
0.706 0.215 0.250
0.761 0.480 0.113
0.765 0.750 0.500
0.761 0.480 0.387
0.239 0.980 0.387
0.239 0.520 0.613
0.239 0.980 0.113
0.736 0.382 0.926
0.264 0.882 0.926
0.736 0.382 0.574
0.264 0.618 0.074
0.736 0.118 0.426
0.736 0.118 0.074
0.264 0.882 0.574
0.264 0.618 0.426
```

As for the total magnetization: 10.00 μB per formula unit. For the density, the calculation gives 5.537 g/cm3.

***

Model c:
## ZnFe2O4 (PBE+U)

Data for an optimized crystal structure of ZnFe2O4.

```
ZnFe2O4
1.0
-2.389 5.475 1.009
-6.009 0.657 0.394
-10.269 5.001 21.296
Fe O Zn
16 32 8
direct
0.123 0.626 0.156
0.625 0.124 0.407
0.624 0.624 0.532
0.624 0.125 0.657
0.624 0.624 0.282
0.627 0.627 0.906
0.624 0.624 0.782
0.125 0.624 0.657
0.248 0.248 0.064
0.627 0.121 0.906
0.624 0.624 0.657
0.626 0.123 0.156
0.625 0.625 0.407
0.626 0.626 0.156
0.124 0.625 0.407
0.121 0.627 0.906
0.375 0.375 0.099
0.856 0.375 0.099
0.385 0.844 0.346
0.407 0.864 0.216
0.865 0.407 0.716
0.384 0.384 0.712
0.865 0.407 0.466
0.385 0.385 0.461
0.841 0.387 0.846
0.871 0.871 0.963
0.387 0.387 0.846
0.865 0.865 0.716
0.843 0.386 0.596
0.379 0.379 0.965
0.865 0.865 0.601
0.386 0.386 0.596
0.864 0.407 0.216
0.386 0.843 0.596
0.405 0.871 0.963
0.375 0.856 0.099
0.871 0.405 0.963
0.865 0.865 0.351
0.387 0.841 0.846
0.385 0.385 0.346
0.407 0.865 0.466
0.866 0.866 0.101
0.407 0.865 0.716
0.866 0.866 0.850
0.844 0.385 0.346
0.387 0.387 0.210
0.864 0.864 0.216
0.865 0.865 0.466
0.000 0.000 0.500
0.000 0.000 0.250
0.247 0.247 0.815
0.006 0.006 0.996
0.002 0.002 0.748
0.250 0.250 0.313
0.248 0.248 0.564
0.628 0.628 0.029
```

As for the total magnetization: 10.00 μB per formula unit. For the density, the calculation gives 5.115 g/cm3.

***

Which of them is most stable? Easy: model c.